Below is crystalline NaYMo2O8 at its relaxed geometry, with properties calculated at the PBE+U level.

a = 5.2810 Å, b = 5.2810 Å, c = 6.8317 Å
α = 67.26°, β = 67.26°, γ = 90.00°
Last column: nearest neighbours and their distance in Å.
Element x y z (fractional)
O: 0.7987 0.9550 0.9134  1 Mo 1.81
Y: 0.6250 0.3750 0.7500  8 O 2.40-2.43
Mo: 0.1250 0.8750 0.7500  4 O 1.81
O: 0.3684 0.2013 0.5866  1 Mo 1.81
O: 0.2879 0.6316 0.9134  1 Mo 1.81
O: 0.7198 0.3564 0.0712  1 Mo 1.81
Mo: 0.8750 0.1250 0.2500  4 O 1.81
Na: 0.3750 0.6250 0.2500  8 O 2.50-2.54
O: 0.2089 0.0724 0.0712  1 Mo 1.81
O: 0.9276 0.2802 0.4288  1 Mo 1.81
O: 0.6436 0.7911 0.4288  1 Mo 1.81
O: 0.0450 0.7121 0.5866  1 Mo 1.81

E_form (eV/atom): -2.51